# 1
CsCr5S8, relaxed, DFT PBE-GGA; excess energy over the best structure of this formula in the dataset = 0 meV/atom; crystal system = monoclinic
1.0
1.763 9.054 0.000
-1.763 9.054 0.000
0.000 2.274 8.544
Cs Cr S
1 5 8
Direct
0.500 0.500 0.500
0.000 0.000 0.000
0.340 0.340 0.980
0.660 0.660 0.020
0.295 0.295 0.335
0.705 0.705 0.665
0.576 0.576 0.851
0.424 0.424 0.149
0.089 0.089 0.161
0.911 0.911 0.839
0.174 0.174 0.515
0.826 0.826 0.485
0.239 0.239 0.843
0.761 0.761 0.157

# 2
CsCr2S4, relaxed, DFT PBE-GGA; excess energy over the best structure of this formula in the dataset = 379 meV/atom; crystal system = cubic
1.0
6.964 2.802 2.424
0.337 4.982 6.106
3.035 -2.390 6.878
Cs Cr S
2 4 8
Direct
0.500 0.500 0.500
0.750 0.750 0.750
0.125 0.125 0.125
0.625 0.125 0.125
0.125 0.625 0.125
0.125 0.125 0.625
0.344 0.344 0.344
0.283 0.906 0.906
0.906 0.906 0.283
0.906 0.283 0.906
0.344 0.344 0.967
0.344 0.967 0.344
0.906 0.906 0.906
0.967 0.344 0.344

# 3
CsCr5Te8, relaxed, DFT PBE-GGA; calculated total energy = -5.636 eV/atom; crystal system = monoclinic
1.0
5.596 -8.847 0.321
6.521 -7.208 3.900
-5.892 -6.302 4.409
Cs Cr Te
1 5 8
Direct
0.500 0.500 0.500
0.660 0.660 0.012
0.340 0.340 0.988
0.704 0.704 0.669
0.296 0.296 0.331
0.000 0.000 0.000
0.761 0.761 0.158
0.239 0.239 0.842
0.427 0.427 0.160
0.573 0.573 0.840
0.909 0.909 0.835
0.091 0.091 0.165
0.828 0.828 0.492
0.172 0.172 0.508

# 4
Cr3Cu, relaxed, DFT PBE-GGA; calculated total energy = -7.971 eV/atom; crystal system = cubic
1.0
-0.572 1.169 -3.358
2.163 -2.585 -1.269
-2.823 -2.218 -0.292
Cr Cu
3 1
Direct
0.000 0.500 0.500
0.500 0.000 0.500
0.500 0.500 0.000
0.000 0.000 0.000

# 5
Cr4FeCuSe4S4, relaxed, DFT PBE-GGA; calculated total energy = -6.347 eV/atom; crystal system = cubic
1.0
0.000 5.110 5.110
5.110 0.000 5.110
5.110 5.110 0.000
Cr Fe Cu Se S
4 1 1 4 4
Direct
0.649 0.117 0.117
0.117 0.649 0.117
0.117 0.117 0.649
0.117 0.117 0.117
0.500 0.500 0.500
0.750 0.750 0.750
0.899 0.367 0.367
0.367 0.899 0.367
0.367 0.367 0.899
0.367 0.367 0.367
0.350 0.883 0.883
0.883 0.350 0.883
0.883 0.883 0.350
0.883 0.883 0.883

# 6
Cr4GaCuSe8, relaxed, DFT PBE-GGA; calculated total energy = -5.797 eV/atom; crystal system = cubic
1.0
0.000 5.281 5.281
5.281 0.000 5.281
5.281 5.281 0.000
Cr Ga Cu Se
4 1 1 8
Direct
0.637 0.121 0.121
0.121 0.637 0.121
0.121 0.121 0.637
0.121 0.121 0.121
0.500 0.500 0.500
0.750 0.750 0.750
0.350 0.883 0.883
0.883 0.350 0.883
0.883 0.883 0.350
0.883 0.883 0.883
0.906 0.365 0.365
0.365 0.906 0.365
0.365 0.365 0.906
0.365 0.365 0.365

# 7
Cr8Ga3CuSe16, relaxed, DFT PBE-GGA; calculated total energy = -5.753 eV/atom; crystal system = tetragonal
1.0
-3.154 -3.484 5.885
-2.846 -5.224 -4.618
8.770 -5.864 1.229
Cr Ga Cu Se
8 3 1 16
Direct
0.743 0.000 0.626
0.249 0.500 0.128
0.257 0.000 0.626
0.751 0.500 0.128
0.000 0.257 0.374
0.500 0.751 0.872
0.500 0.249 0.872
0.000 0.743 0.374
0.000 0.000 0.000
0.500 0.000 0.251
0.000 0.500 0.749
0.500 0.500 0.500
0.768 0.500 0.366
0.273 0.000 0.865
0.232 0.500 0.366
0.727 0.000 0.865
0.500 0.232 0.634
0.000 0.727 0.135
0.500 0.768 0.634
0.000 0.273 0.135
0.227 0.000 0.386
0.727 0.500 0.886
0.773 0.000 0.386
0.273 0.500 0.886
0.500 0.273 0.114
0.000 0.773 0.614
0.500 0.727 0.114
0.000 0.227 0.614

# 8
HfCrCuS4, relaxed, DFT PBE-GGA; excess energy over the best structure of this formula in the dataset = 149 meV/atom; crystal system = orthorhombic
1.0
-2.421 2.756 -4.820
-5.707 1.727 3.853
5.461 10.618 3.329
Hf Cr Cu S
4 4 4 16
Direct
0.500 0.250 0.250
0.500 0.750 0.750
0.500 0.750 0.250
0.500 0.250 0.750
0.997 0.000 0.244
0.997 0.000 0.756
0.003 0.500 0.256
0.003 0.500 0.744
0.357 0.000 0.000
0.643 0.500 0.500
0.029 0.000 0.500
0.971 0.500 0.000
0.848 0.249 0.365
0.848 0.751 0.635
0.152 0.749 0.135
0.152 0.251 0.865
0.152 0.251 0.135
0.152 0.749 0.865
0.848 0.751 0.365
0.848 0.249 0.635
0.667 0.000 0.131
0.667 0.000 0.869
0.333 0.500 0.369
0.333 0.500 0.631
0.313 0.000 0.363
0.313 0.000 0.637
0.687 0.500 0.137
0.687 0.500 0.863

# 9
HfCrCuS4, relaxed, DFT PBE-GGA; excess energy over the best structure of this formula in the dataset = 76 meV/atom; crystal system = monoclinic
1.0
-2.593 2.138 -1.214
-3.453 -4.824 -1.122
-4.551 0.588 10.750
Hf Cr Cu S
2 2 2 8
Direct
0.500 0.513 0.744
0.500 0.487 0.256
0.000 0.013 0.243
0.000 0.987 0.757
0.500 0.500 0.000
0.000 0.000 0.500
0.500 0.163 0.125
0.500 0.837 0.875
0.000 0.678 0.619
0.000 0.322 0.381
0.000 0.675 0.129
0.000 0.325 0.871
0.500 0.146 0.638
0.500 0.854 0.362

# 10
HfCrCuS4, relaxed, DFT PBE-GGA; excess energy over the best structure of this formula in the dataset = 186 meV/atom; crystal system = monoclinic
1.0
-10.379 -0.381 -5.001
1.005 -2.879 -1.867
-3.932 -7.358 9.226
Hf Cr Cu S
4 4 4 16
Direct
0.885 0.750 0.925
0.159 0.250 0.675
0.851 0.750 0.308
0.351 0.750 0.198
0.114 0.250 0.068
0.394 0.750 0.570
0.616 0.250 0.438
0.642 0.250 0.805
0.110 0.750 0.467
0.883 0.250 0.547
0.404 0.250 0.938
0.597 0.750 0.058
0.009 0.750 0.627
0.987 0.250 0.383
0.479 0.250 0.119
0.524 0.750 0.881
0.036 0.250 0.879
0.976 0.750 0.122
0.479 0.750 0.389
0.528 0.250 0.617
0.209 0.250 0.244
0.768 0.750 0.755
0.292 0.750 0.742
0.710 0.250 0.257
0.243 0.750 0.017
0.744 0.250 0.981
0.261 0.250 0.504
0.748 0.750 0.487

# 11
HfCrCuS4, relaxed, DFT PBE-GGA; excess energy over the best structure of this formula in the dataset = 76 meV/atom; crystal system = monoclinic
1.0
0.725 5.835 -3.914
5.828 -1.378 -0.975
-1.776 -3.007 -4.811
Hf Cr Cu S
2 2 2 8
Direct
0.238 0.500 0.500
0.514 0.000 0.500
0.749 0.500 0.500
0.002 0.000 0.500
0.994 0.000 0.000
0.505 0.000 0.000
0.986 0.314 0.267
0.506 0.330 0.254
0.244 0.831 0.250
0.763 0.816 0.257
0.244 0.169 0.750
0.763 0.184 0.743
0.506 0.670 0.746
0.986 0.686 0.733

# 12
HfCrCuS4, relaxed, DFT PBE-GGA; excess energy over the best structure of this formula in the dataset = 293 meV/atom; crystal system = orthorhombic
1.0
6.983 0.000 0.000
0.000 7.063 0.000
0.000 0.000 12.273
Hf Cr Cu S
4 4 4 16
Direct
0.971 0.750 0.320
0.029 0.250 0.680
0.529 0.250 0.820
0.471 0.750 0.180
0.152 0.250 0.926
0.848 0.750 0.074
0.348 0.750 0.426
0.652 0.250 0.574
0.228 0.250 0.399
0.772 0.750 0.601
0.272 0.750 0.899
0.728 0.250 0.101
0.235 0.478 0.801
0.765 0.522 0.199
0.265 0.522 0.301
0.735 0.478 0.699
0.735 0.022 0.699
0.265 0.978 0.301
0.765 0.978 0.199
0.235 0.022 0.801
0.923 0.250 0.481
0.077 0.750 0.519
0.577 0.750 0.981
0.423 0.250 0.019
0.162 0.750 0.075
0.838 0.250 0.925
0.338 0.250 0.575
0.662 0.750 0.425